Version A
MgMn12O14F10 after structural relaxation, computed with PBE+U.

```
MgMn12O14F10
1.0
4.818 0.000 0.000
0.011 5.734 0.000
0.001 0.317 15.312
Mg Mn O F
1 12 14 10
direct
0.000 0.000 0.000
0.460 0.073 0.664
0.464 0.762 0.835
0.471 0.755 0.172
0.473 0.054 0.339
0.484 0.771 0.497
0.499 0.074 0.999
0.925 0.554 0.651
0.933 0.236 0.488
0.939 0.238 0.816
0.957 0.589 0.329
0.971 0.532 0.982
0.989 0.267 0.168
0.243 0.025 0.772
0.249 0.776 0.943
0.250 0.812 0.277
0.251 0.022 0.439
0.265 0.028 0.102
0.679 0.010 0.558
0.690 0.810 0.391
0.721 0.524 0.545
0.727 0.015 0.899
0.728 0.298 0.708
0.745 0.508 0.879
0.746 0.292 0.381
0.768 0.544 0.220
0.784 0.274 0.047
0.172 0.273 0.594
0.179 0.526 0.757
0.198 0.540 0.438
0.208 0.260 0.928
0.222 0.524 0.093
0.226 0.779 0.604
0.240 0.300 0.278
0.687 0.792 0.726
0.706 0.040 0.229
0.740 0.781 0.061
```

Calculated density: 4.31 g/cm³
SG: No. 1


Version B
MgMn12O14F10 after structural relaxation, computed with PBE+U.

```
MgMn12O14F10
1.0
4.756 0.000 0.000
0.193 5.679 0.000
0.471 0.857 15.652
Mg Mn O F
1 12 14 10
direct
0.000 0.000 0.000
0.408 0.809 0.778
0.436 0.158 0.621
0.452 0.877 0.459
0.465 0.191 0.930
0.467 0.228 0.299
0.483 0.914 0.138
0.844 0.594 0.962
0.893 0.305 0.789
0.917 0.355 0.469
0.918 0.626 0.636
0.924 0.425 0.147
0.930 0.691 0.303
0.039 0.299 0.915
0.072 0.642 0.056
0.105 0.588 0.741
0.143 0.384 0.573
0.178 0.453 0.248
0.612 0.893 0.006
0.624 0.062 0.826
0.635 0.864 0.673
0.639 0.126 0.515
0.671 0.192 0.197
0.677 0.933 0.354
0.687 0.384 0.685
0.721 0.439 0.362
0.734 0.680 0.199
0.137 0.837 0.893
0.148 0.148 0.094
0.168 0.662 0.410
0.173 0.093 0.720
0.178 0.869 0.565
0.207 0.932 0.250
0.214 0.171 0.401
0.586 0.543 0.867
0.616 0.356 0.037
0.699 0.628 0.528
```

Calculated density: 4.31 g/cm³
SG: No. 1


Energy ordering: version A at the bottom, the next structure 17 meV/atom above.